# 1
DFT (GGA+U) results for crystalline Y4Mn13Si2Sb2O28 at its relaxed geometry.

```
49
Lattice="5.658 -0.012 1.377 1.721 9.337 0.419 -0.065 -0.006 12.575" Properties=species:S:1:pos:R:3 pbc="T T T"
Y 1.498 6.107 5.596
Y 3.476 3.218 6.077
Y 5.816 3.212 8.775
Y 3.838 6.101 8.294
Mn 6.289 6.031 10.808
Mn 4.315 3.055 2.640
Mn 2.483 3.282 9.881
Mn 1.025 3.288 3.563
Mn 2.999 6.264 11.731
Mn 1.618 -0.006 5.664
Mn 2.333 6.270 2.158
Mn 0.000 0.000 0.000
Mn 2.412 -0.006 2.403
Mn 4.981 3.049 12.213
Mn 4.831 6.037 4.490
Mn 3.182 -0.012 11.550
Mn 3.976 -0.012 8.288
Si 1.897 2.748 0.462
Si 5.481 6.577 1.334
Sb 4.844 -0.012 4.720
Sb 0.749 -0.006 9.232
O 4.724 3.765 4.468
O 1.413 3.626 5.647
O 6.017 3.172 1.465
O 1.949 1.086 0.475
O 5.901 5.693 8.724
O 2.590 5.554 9.903
O 0.212 1.008 7.490
O 7.102 8.311 6.881
O 5.429 8.239 1.322
O 2.178 8.344 2.498
O 2.365 3.332 1.939
O 1.130 5.560 3.593
O 3.747 8.317 8.351
O 4.296 0.981 3.013
O 4.387 5.993 2.431
O 1.362 6.154 0.331
O 3.018 8.338 11.358
O 5.136 0.975 11.873
O 3.567 1.002 6.020
O 0.828 1.119 3.812
O 6.486 8.200 10.559
O 2.927 3.326 11.940
O 2.423 1.113 9.570
O 3.786 3.620 8.209
O 4.949 5.987 12.432
O 4.891 8.206 4.801
O 6.184 3.759 10.778
O 3.528 5.699 6.162
```

Results
E_form, eV/atom: -2.508

***

# 2
DFT (GGA+U) results for crystalline Ti3MnCrP6O24 at its relaxed geometry.

```
35
Lattice="7.465 -4.328 0.000 7.465 4.328 0.000 4.955 0.000 7.064" Properties=species:S:1:pos:R:3 pbc="T T T"
Ti 2.684 0.000 0.954
Ti 7.034 0.000 2.499
Ti 17.191 0.000 6.108
Mn 9.945 0.000 3.533
Cr 12.812 0.000 4.552
P 8.195 -3.061 3.303
P 12.383 -1.822 1.786
P 10.618 -1.222 6.754
P 9.267 1.211 0.284
P 7.492 1.850 5.279
P 11.674 3.044 3.780
O 8.652 -3.672 1.961
O 9.106 -3.463 4.463
O 10.716 -2.748 6.631
O 13.721 -1.664 4.880
O 8.309 -1.500 3.166
O 11.918 -0.907 2.966
O 12.849 -0.930 0.628
O 10.779 3.448 2.612
O 6.618 -0.800 0.845
O 9.203 -0.731 7.047
O 5.673 -0.829 3.504
O 11.055 -0.581 5.395
O 8.845 0.575 1.657
O 14.205 0.828 3.515
O 10.691 0.729 0.002
O 13.241 0.836 6.231
O 7.061 0.928 6.440
O 7.976 0.924 4.105
O 11.581 1.489 3.915
O 6.137 1.629 2.198
O 11.202 -2.717 1.420
O 8.684 2.734 5.654
O 9.190 2.744 0.447
O 11.256 3.678 5.113
```

Results
E_form, eV/atom: -2.846

***

# 3
DFT (GGA+U) results for crystalline BaNd2CoO5 at its relaxed geometry.

```
9
Lattice="-0.936 3.565 -0.799 3.211 1.902 4.720 6.021 3.227 -1.561" Properties=species:S:1:pos:R:3 pbc="T T T"
Ba 0.000 0.000 0.000
Nd 2.658 4.717 0.127
Nd 5.638 3.977 2.233
Co 1.137 2.733 1.961
O 1.789 2.413 -0.232
O 6.507 6.281 2.592
O 4.935 5.349 0.280
O 3.361 3.344 2.080
O 1.606 0.951 2.360
```

Results
E_form, eV/atom: -3.030

***

# 4
DFT (GGA+U) results for crystalline Li5Fe8B8O24 at its relaxed geometry.

```
45
Lattice="4.343 1.080 2.760 -5.099 2.434 7.133 0.656 -11.257 -1.380" Properties=species:S:1:pos:R:3 pbc="T T T"
Li 0.230 -4.405 -0.254
Li -0.048 -5.711 4.064
Li -0.157 -2.581 4.680
Li 4.681 -6.420 1.876
Li -0.410 0.859 7.199
Fe -1.460 -3.295 2.061
Fe -3.011 -7.429 6.218
Fe 1.655 -6.210 1.549
Fe -1.703 0.175 4.434
Fe 1.707 -8.070 4.023
Fe -1.811 -1.656 6.975
Fe 1.273 -4.458 6.502
Fe 2.981 -0.455 2.366
B -3.126 -2.550 4.425
B -1.356 -8.094 3.810
B -1.674 -4.555 6.275
B -3.426 0.957 6.828
B 1.524 -3.263 2.280
B 3.382 -8.771 1.633
B 3.032 -5.191 4.068
B 1.207 0.237 4.705
O 0.257 -9.456 -0.647
O -2.516 -7.539 4.340
O -1.426 -8.966 2.740
O -0.121 -6.347 0.602
O -1.391 -5.443 2.443
O -2.813 -5.227 5.810
O -1.978 -2.018 4.962
O -0.137 -7.719 4.327
O 2.216 -8.236 2.185
O 1.666 -4.036 1.141
O 0.283 -3.089 2.853
O 3.290 -9.662 0.584
O -3.457 1.881 7.882
O -0.489 -4.599 5.562
O -1.747 -3.799 7.450
O -2.181 0.439 6.460
O 0.144 -0.175 4.021
O 1.902 -5.899 3.638
O 2.665 -2.683 2.887
O 1.323 -2.294 6.042
O -0.016 -1.188 7.736
O 1.099 1.180 5.773
O 2.480 -0.312 4.419
O -0.232 1.642 8.949
```

Results
E_form, eV/atom: -2.283

***

# 5
DFT (GGA+U) results for crystalline FeO2 at its relaxed geometry.

```
3
Lattice="-2.046 2.162 4.283 -4.344 1.383 2.533 -2.985 -0.678 4.223" Properties=species:S:1:pos:R:3 pbc="T T T"
Fe -4.687 1.433 5.519
O -7.199 2.202 8.477
O -2.176 0.665 2.562
```

Results
E_form, eV/atom: -1.149

***

# 6
DFT (GGA+U) results for crystalline CoAgO2 at its relaxed geometry.

```
4
Lattice="6.314 -1.515 0.000 6.314 1.515 0.000 5.951 0.000 2.598" Properties=species:S:1:pos:R:3 pbc="T T T"
Co 9.289 0.000 1.299
Ag 0.000 0.000 0.000
O 16.498 0.000 2.307
O 2.081 0.000 0.291
```

Results
E_form, eV/atom: -0.939

***

# 7
DFT (GGA+U) results for crystalline Ca4MnFe3O10 at its relaxed geometry.

```
36
Lattice="-0.315 5.174 1.652 0.894 -1.642 5.313 15.867 -0.073 3.256" Properties=species:S:1:pos:R:3 pbc="T T T"
Ca 14.092 2.407 4.472
Ca 10.432 -1.362 6.618
Ca 6.573 1.479 5.165
Ca 1.796 4.363 4.178
Ca 2.354 1.052 5.749
Ca 6.013 4.821 3.603
Ca 9.872 1.980 5.057
Ca 14.650 -0.905 6.044
Mn 0.289 1.766 3.483
Mn 8.380 -0.858 4.285
Fe 12.419 1.458 7.683
Fe 12.085 -0.090 3.510
Fe 4.026 2.001 2.538
Fe 4.361 3.549 6.711
Fe 7.776 2.550 2.454
Fe 0.000 0.000 0.000
O 13.880 1.408 6.546
O 10.364 4.226 6.010
O 5.785 2.362 3.144
O 2.868 -1.176 4.712
O 2.566 2.050 3.675
O 6.081 -0.767 4.212
O 10.661 1.096 7.078
O 13.578 4.635 5.509
O 0.400 0.796 1.790
O 8.122 2.541 6.753
O 8.142 3.581 4.119
O 16.225 0.039 7.794
O 16.046 2.663 8.432
O 8.324 0.917 3.468
O 8.304 -0.122 6.103
O 0.221 3.420 2.427
O 11.887 1.846 3.821
O 12.392 3.225 8.555
O 4.559 1.613 6.400
O 4.053 0.233 1.667
```

Results
E_form, eV/atom: -2.473

***

# 8
DFT (GGA+U) results for crystalline FeBPH2O6 at its relaxed geometry.

```
66
Lattice="-2.841 6.264 -3.215 -2.362 -2.135 6.893 9.278 6.943 5.329" Properties=species:S:1:pos:R:3 pbc="T T T"
Fe 3.718 10.069 0.760
Fe 1.041 0.460 7.763
Fe -0.684 0.543 0.483
Fe 3.386 4.466 3.550
Fe -0.610 5.912 -1.553
Fe 5.938 4.165 9.674
B 5.882 6.796 7.526
B 1.988 4.887 6.617
B -0.441 1.533 5.040
B -1.142 3.748 1.011
B 1.121 6.952 3.072
B 4.816 9.301 3.755
P 5.545 6.763 4.732
P 1.652 7.507 0.363
P -3.369 5.007 2.187
P 0.758 2.541 2.701
P 3.340 2.837 7.995
P 4.299 8.561 9.043
H 3.091 7.009 3.411
H -0.236 5.530 0.955
H 5.444 10.084 5.485
H 1.601 3.573 5.160
H 4.536 5.364 7.893
H -2.211 1.657 4.118
H 2.977 6.610 6.094
H -0.236 2.533 6.823
H 7.828 6.422 8.070
H 0.123 5.235 3.601
H 2.874 9.679 3.199
H -1.343 2.737 -0.767
O 2.374 6.339 3.345
O -0.663 4.900 0.331
O 4.594 9.891 5.028
O 2.187 4.347 5.318
O 5.445 5.610 8.176
O -1.713 2.128 4.823
O 2.211 6.315 6.621
O -0.041 1.665 6.423
O 7.313 6.772 7.319
O 0.041 6.205 3.675
O 3.775 9.677 2.825
O -1.074 2.583 0.158
O 5.039 5.352 4.403
O -1.491 5.063 5.972
O 7.257 5.328 10.748
O 2.059 3.321 2.467
O 1.630 9.133 5.817
O -2.270 5.021 -2.386
O 5.216 7.091 6.230
O 0.659 4.608 7.223
O -0.335 0.103 4.646
O -0.461 3.441 2.296
O 1.008 8.375 3.486
O 6.137 9.598 3.140
O 4.675 7.745 3.870
O 0.826 6.871 1.536
O -2.672 3.914 1.302
O 0.651 2.334 4.252
O 3.087 4.330 7.586
O 5.658 8.022 8.475
O 7.039 6.951 4.432
O 1.857 9.011 0.595
O -2.746 5.052 3.589
O 0.726 1.193 1.967
O 2.053 2.192 8.529
O 3.296 8.817 7.909
```

Results
E_form, eV/atom: -2.172

***

# 9
DFT (GGA+U) results for crystalline LiCr2O3 at its relaxed geometry.

```
12
Lattice="-1.487 0.696 4.974 2.926 -2.024 3.845 4.235 3.176 -0.212" Properties=species:S:1:pos:R:3 pbc="T T T"
Li 4.492 1.166 7.908
Li 1.179 0.683 0.683
Cr 2.142 -0.207 6.588
Cr 1.654 0.244 3.598
Cr 3.527 2.058 1.992
Cr 4.018 1.603 5.005
O 1.650 -0.954 1.998
O 1.217 1.850 2.491
O 3.676 0.340 3.212
O 1.855 -1.388 4.907
O -0.389 0.168 3.849
O 1.947 1.420 5.315
```

Results
E_form, eV/atom: -2.173

***

# 10
DFT (GGA+U) results for crystalline K2CrCuF6 at its relaxed geometry.

```
10
Lattice="-4.011 -4.150 1.027 0.518 -3.480 4.688 -3.719 0.566 4.496" Properties=species:S:1:pos:R:3 pbc="T T T"
K -1.803 -1.766 2.553
K -5.409 -5.298 7.658
Cr 0.000 0.000 0.000
Cu -3.606 -3.532 5.106
F -1.437 -3.505 4.886
F -3.546 -5.688 5.426
F -5.775 -3.559 5.325
F -3.819 -3.857 2.960
F -3.393 -3.207 7.251
F -3.665 -1.376 4.785
```

Results
E_form, eV/atom: -2.714

***

# 11
DFT (GGA+U) results for crystalline Fe3Pb8F24 at its relaxed geometry.

```
35
Lattice="-5.671 0.000 0.000 -0.092 -9.579 0.000 2.701 2.705 9.903" Properties=species:S:1:pos:R:3 pbc="T T T"
Fe 0.000 0.000 0.000
Fe -0.133 0.064 8.962
Fe -2.928 -6.939 0.940
Pb -0.051 -1.959 5.449
Pb -3.010 -4.915 4.454
Pb -0.110 -5.926 7.300
Pb -2.951 -0.949 2.603
Pb -0.116 -7.631 3.543
Pb -2.945 0.756 6.360
Pb -2.995 -3.152 8.186
Pb -0.066 -3.722 1.716
F 1.286 -6.892 5.467
F -4.347 0.018 4.436
F -1.565 -4.091 6.376
F -1.496 -2.784 3.527
F 1.206 -4.170 6.261
F -4.267 -2.704 3.642
F 0.259 0.600 7.097
F -3.320 -7.475 2.806
F -4.548 -5.838 0.824
F 1.487 -1.037 9.079
F 0.290 -5.194 3.549
F -3.350 -1.680 6.353
F -1.334 -8.125 1.044
F -1.727 1.251 8.859
F -3.987 -8.492 0.373
F 0.927 1.618 9.530
F -1.874 -5.504 1.730
F -1.187 -1.371 8.173
F 0.179 -3.919 8.953
F -3.240 -2.955 0.950
F 0.222 -0.926 1.778
F -3.282 -5.948 8.124
F -1.541 -6.835 5.394
F -1.520 -0.039 4.508
```

Results
E_form, eV/atom: -2.664

***

# 12
DFT (GGA+U) results for crystalline Li2Fe3F8 at its relaxed geometry.

```
26
Lattice="3.184 -5.995 0.000 3.184 5.995 0.000 0.000 0.000 8.634" Properties=species:S:1:pos:R:3 pbc="T T T"
Li 3.184 -4.543 5.296
Li 3.184 -1.452 0.979
Li 3.184 1.452 7.655
Li 3.184 4.543 3.338
Fe 1.592 -1.686 6.475
Fe 0.000 0.000 0.000
Fe 1.592 1.686 2.158
Fe 4.776 -1.686 6.475
Fe 3.184 0.000 4.317
Fe 4.776 1.686 2.158
F 1.596 -1.372 4.456
F 1.588 -1.372 8.494
F 3.184 0.119 2.197
F 3.184 -2.987 2.074
F 3.184 5.876 6.514
F 3.184 -3.008 6.391
F 4.780 -1.372 8.494
F 1.596 1.372 4.177
F 4.772 -1.372 4.456
F 1.588 1.372 0.140
F 3.184 -0.119 6.436
F 3.184 -5.876 2.119
F 3.184 2.987 6.560
F 3.184 3.008 2.243
F 4.780 1.372 0.140
F 4.772 1.372 4.177
```

Results
E_form, eV/atom: -2.733

***

The lowest E_form belongs to which entry?
BaNd2CoO5